1.
First-principles (PBE) data for crystalline Tb2Cu2O5 at its relaxed geometry, as listed in the Materials Project database.

Calculated values
Total DFT energy (no corrections), eV per atom: -6.89
Magnetization, μB/f.u.: 2.0
Energy relative to the elements, eV per atom: -2.585

```
data_Tb2Cu2O5
_chemical_formula_sum 'Tb8 Cu8 O20'
_cell_length_a 3.555
_cell_length_b 10.899
_cell_length_c 12.588
_cell_angle_alpha 90.00
_cell_angle_beta 90.00
_cell_angle_gamma 90.00
_space_group_name_H-M_alt 'P 1'
_space_group_IT_number 1
_space_group_name_Hall 'P 1'
loop_
_atom_site_label
_atom_site_type_symbol
_atom_site_fract_x
_atom_site_fract_y
_atom_site_fract_z
O1 O 0.153 0.625 0.900
O2 O 0.277 0.073 0.302
O3 O 0.224 0.326 0.210
O4 O 0.653 0.875 0.400
O5 O 0.276 0.826 0.210
O6 O 0.776 0.674 0.710
O7 O 0.720 0.323 0.997
O8 O 0.347 0.125 0.900
O9 O 0.280 0.677 0.497
O10 O 0.726 0.077 0.090
O11 O 0.777 0.427 0.802
O12 O 0.223 0.573 0.302
O13 O 0.226 0.423 0.590
O14 O 0.724 0.174 0.710
O15 O 0.220 0.177 0.497
O16 O 0.274 0.923 0.590
O17 O 0.780 0.823 0.997
O18 O 0.774 0.577 0.090
O19 O 0.723 0.927 0.802
O20 O 0.847 0.375 0.400
Cu1 Cu 0.345 0.739 0.348
Cu2 Cu 0.842 0.489 0.951
Cu3 Cu 0.158 0.511 0.451
Cu4 Cu 0.845 0.761 0.848
Cu5 Cu 0.342 0.011 0.451
Cu6 Cu 0.155 0.239 0.348
Cu7 Cu 0.658 0.989 0.951
Cu8 Cu 0.655 0.261 0.848
Tb1 Tb 0.279 0.542 0.735
Tb2 Tb 0.781 0.792 0.563
Tb3 Tb 0.779 0.958 0.235
Tb4 Tb 0.719 0.292 0.563
Tb5 Tb 0.221 0.042 0.735
Tb6 Tb 0.281 0.708 0.063
Tb7 Tb 0.721 0.458 0.235
Tb8 Tb 0.219 0.208 0.063
```

2.
First-principles (PBE) data for crystalline Mg5Si9 at its relaxed geometry, as listed in the Materials Project database.

Calculated values
Total DFT energy (no corrections), eV per atom: -3.89
Magnetization, μB/f.u.: 0.0
Energy relative to the elements, eV per atom: 0.210

```
data_Mg5Si9
_chemical_formula_sum 'Mg10 Si18'
_cell_length_a 7.607
_cell_length_b 7.669
_cell_length_c 10.039
_cell_angle_alpha 72.88
_cell_angle_beta 80.29
_cell_angle_gamma 60.48
_space_group_name_H-M_alt 'P 1'
_space_group_IT_number 1
_space_group_name_Hall 'P 1'
loop_
_atom_site_label
_atom_site_type_symbol
_atom_site_fract_x
_atom_site_fract_y
_atom_site_fract_z
Mg1 Mg 0.514 0.967 0.715
Mg2 Mg 0.880 0.689 0.556
Mg3 Mg 0.364 0.973 0.058
Mg4 Mg 0.164 0.885 0.357
Mg5 Mg 0.377 0.411 0.533
Mg6 Mg 0.784 0.950 0.914
Mg7 Mg 0.875 0.215 0.062
Mg8 Mg 0.465 0.605 0.919
Mg9 Mg 0.723 0.499 0.392
Mg10 Mg 0.125 0.186 0.538
Si1 Si 0.721 0.612 0.105
Si2 Si 0.130 0.325 0.761
Si3 Si 0.468 0.703 0.592
Si4 Si 0.447 0.518 0.229
Si5 Si 0.491 0.975 0.400
Si6 Si 0.489 0.232 0.123
Si7 Si 0.429 0.297 0.853
Si8 Si 0.096 0.531 0.332
Si9 Si 0.111 0.779 0.098
Si10 Si 0.718 0.363 0.722
Si11 Si 0.126 0.297 0.198
Si12 Si 0.831 0.593 0.852
Si13 Si 0.118 0.538 0.975
Si14 Si 0.771 0.845 0.218
Si15 Si 0.126 0.999 0.849
Si16 Si 0.806 0.098 0.594
Si17 Si 0.128 0.794 0.696
Si18 Si 0.723 0.119 0.361
```

3.
First-principles (PBE) data for crystalline Sb3H18C6N at its relaxed geometry, as listed in the Materials Project database.

Calculated values
Total DFT energy (no corrections), eV per atom: -4.94
Magnetization, μB/f.u.: 0.0
Energy relative to the elements, eV per atom: -0.056

```
data_Sb3H18C6N
_chemical_formula_sum 'Sb12 H72 C24 N4'
_cell_length_a 6.838
_cell_length_b 12.407
_cell_length_c 17.322
_cell_angle_alpha 78.89
_cell_angle_beta 90.00
_cell_angle_gamma 90.00
_space_group_name_H-M_alt 'P 1'
_space_group_IT_number 1
_space_group_name_Hall 'P 1'
loop_
_atom_site_label
_atom_site_type_symbol
_atom_site_fract_x
_atom_site_fract_y
_atom_site_fract_z
H1 H 0.354 0.506 0.955
H2 H 0.490 0.903 0.186
H3 H 0.010 0.903 0.686
H4 H 0.216 0.966 0.873
H5 H 0.716 0.034 0.627
H6 H 0.498 0.908 0.425
H7 H 0.998 0.540 0.619
H8 H 0.420 0.769 0.170
H9 H 0.867 0.489 0.892
H10 H 0.002 0.460 0.381
H11 H 0.784 0.034 0.127
H12 H 0.302 0.960 0.476
H13 H 0.947 0.603 0.933
H14 H 0.002 0.908 0.925
H15 H 0.306 0.375 0.657
H16 H 0.727 0.608 0.086
H17 H 0.626 0.873 0.894
H18 H 0.633 0.489 0.392
H19 H 0.580 0.231 0.830
H20 H 0.990 0.097 0.314
H21 H 0.432 0.203 0.384
H22 H 0.502 0.092 0.575
H23 H 0.773 0.608 0.586
H24 H 0.801 0.752 0.462
H25 H 0.502 0.540 0.119
H26 H 0.331 0.891 0.106
H27 H 0.998 0.092 0.075
H28 H 0.198 0.960 0.976
H29 H 0.374 0.127 0.106
H30 H 0.447 0.397 0.567
H31 H 0.893 0.868 0.498
H32 H 0.874 0.873 0.394
H33 H 0.979 0.324 0.820
H34 H 0.553 0.603 0.433
H35 H 0.107 0.132 0.502
H36 H 0.510 0.097 0.814
H37 H 0.146 0.506 0.455
H38 H 0.301 0.248 0.038
H39 H 0.479 0.676 0.680
H40 H 0.227 0.392 0.414
H41 H 0.854 0.494 0.545
H42 H 0.521 0.324 0.320
H43 H 0.646 0.494 0.045
H44 H 0.393 0.132 0.002
H45 H 0.701 0.741 0.704
H46 H 0.299 0.259 0.296
H47 H 0.284 0.966 0.373
H48 H 0.133 0.511 0.108
H49 H 0.273 0.392 0.914
H50 H 0.068 0.203 0.884
H51 H 0.169 0.891 0.606
H52 H 0.607 0.868 0.998
H53 H 0.126 0.127 0.606
H54 H 0.053 0.397 0.067
H55 H 0.806 0.625 0.843
H56 H 0.831 0.109 0.394
H57 H 0.802 0.040 0.024
H58 H 0.920 0.231 0.330
H59 H 0.021 0.676 0.180
H60 H 0.699 0.752 0.962
H61 H 0.799 0.741 0.204
H62 H 0.080 0.769 0.670
H63 H 0.932 0.797 0.116
H64 H 0.194 0.375 0.157
H65 H 0.367 0.511 0.608
H66 H 0.199 0.248 0.538
H67 H 0.568 0.797 0.616
H68 H 0.498 0.460 0.881
H69 H 0.698 0.040 0.524
H70 H 0.669 0.109 0.894
H71 H 0.694 0.625 0.343
H72 H 0.201 0.259 0.796
C1 C 0.055 0.246 0.822
C2 C 0.595 0.820 0.951
C3 C 0.872 0.146 0.333
C4 C 0.095 0.180 0.549
C5 C 0.582 0.574 0.378
C6 C 0.661 0.082 0.572
C7 C 0.839 0.082 0.072
C8 C 0.339 0.918 0.428
C9 C 0.849 0.529 0.598
C10 C 0.349 0.471 0.902
C11 C 0.445 0.246 0.322
C12 C 0.372 0.854 0.167
C13 C 0.161 0.918 0.928
C14 C 0.151 0.471 0.402
C15 C 0.555 0.754 0.678
C16 C 0.405 0.180 0.049
C17 C 0.945 0.754 0.178
C18 C 0.418 0.426 0.622
C19 C 0.905 0.820 0.451
C20 C 0.128 0.854 0.667
C21 C 0.628 0.146 0.833
C22 C 0.651 0.529 0.098
C23 C 0.918 0.574 0.878
C24 C 0.082 0.426 0.122
Sb1 Sb 0.117 0.855 0.243
Sb2 Sb 0.689 0.418 0.690
Sb3 Sb 0.189 0.582 0.810
Sb4 Sb 0.311 0.582 0.310
Sb5 Sb 0.298 0.755 0.950
Sb6 Sb 0.617 0.145 0.257
Sb7 Sb 0.702 0.245 0.050
Sb8 Sb 0.883 0.145 0.757
Sb9 Sb 0.798 0.245 0.550
Sb10 Sb 0.383 0.855 0.743
Sb11 Sb 0.811 0.418 0.190
Sb12 Sb 0.202 0.755 0.450
N1 N 0.295 0.730 0.834
N2 N 0.795 0.270 0.666
N3 N 0.205 0.730 0.334
N4 N 0.705 0.270 0.166
```

4.
First-principles (PBE) data for crystalline Na2AsO8 at its relaxed geometry, as listed in the Materials Project database.

Calculated values
Total DFT energy (no corrections), eV per atom: -5.03
Magnetization, μB/f.u.: 2.0
Energy relative to the elements, eV per atom: -0.766

```
data_Na2AsO8
_chemical_formula_sum 'Na8 As4 O32'
_cell_length_a 7.065
_cell_length_b 5.756
_cell_length_c 17.769
_cell_angle_alpha 90.00
_cell_angle_beta 90.00
_cell_angle_gamma 90.00
_space_group_name_H-M_alt 'P 1'
_space_group_IT_number 1
_space_group_name_Hall 'P 1'
loop_
_atom_site_label
_atom_site_type_symbol
_atom_site_fract_x
_atom_site_fract_y
_atom_site_fract_z
O1 O 0.749 0.565 0.158
O2 O 0.366 0.813 0.707
O3 O 0.692 0.237 0.646
O4 O 0.405 0.205 0.092
O5 O 0.158 0.309 0.498
O6 O 0.007 0.285 0.066
O7 O 0.493 0.715 0.566
O8 O 0.000 0.194 0.500
O9 O 0.500 0.560 0.500
O10 O 0.736 0.367 0.359
O11 O 0.000 0.440 0.000
O12 O 0.251 0.565 0.842
O13 O 0.842 0.309 0.502
O14 O 0.634 0.813 0.293
O15 O 0.134 0.187 0.207
O16 O 0.095 0.795 0.592
O17 O 0.249 0.435 0.342
O18 O 0.308 0.237 0.354
O19 O 0.500 0.806 0.000
O20 O 0.751 0.435 0.658
O21 O 0.236 0.633 0.141
O22 O 0.905 0.795 0.408
O23 O 0.808 0.763 0.146
O24 O 0.342 0.691 0.998
O25 O 0.764 0.633 0.859
O26 O 0.595 0.205 0.908
O27 O 0.192 0.763 0.854
O28 O 0.866 0.187 0.793
O29 O 0.507 0.715 0.434
O30 O 0.993 0.285 0.934
O31 O 0.658 0.691 0.002
O32 O 0.264 0.367 0.641
Na1 Na 0.389 0.905 0.210
Na2 Na 0.195 0.795 0.462
Na3 Na 0.805 0.795 0.538
Na4 Na 0.111 0.095 0.710
Na5 Na 0.695 0.205 0.038
Na6 Na 0.889 0.095 0.290
Na7 Na 0.611 0.905 0.790
Na8 Na 0.305 0.205 0.962
As1 As 0.718 0.657 0.367
As2 As 0.218 0.343 0.133
As3 As 0.782 0.343 0.867
As4 As 0.282 0.657 0.633
```

5.
First-principles (PBE) data for crystalline Zn at its relaxed geometry, as listed in the Materials Project database.

Calculated values
Total DFT energy (no corrections), eV per atom: -1.25
Energy relative to the elements, eV per atom: 0.011

```
data_Zn
_chemical_formula_sum 'Zn3'
_cell_length_a 7.573
_cell_length_b 7.573
_cell_length_c 7.573
_cell_angle_alpha 20.18
_cell_angle_beta 20.18
_cell_angle_gamma 20.18
_space_group_name_H-M_alt 'P 1'
_space_group_IT_number 1
_space_group_name_Hall 'P 1'
loop_
_atom_site_label
_atom_site_type_symbol
_atom_site_fract_x
_atom_site_fract_y
_atom_site_fract_z
Zn1 Zn 0.222 0.222 0.222
Zn2 Zn 0.778 0.778 0.778
Zn3 Zn 0.000 0.000 0.000
```

6.
First-principles (PBE) data for crystalline CeEuZn2 at its relaxed geometry, as listed in the Materials Project database.

Calculated values
Total DFT energy (no corrections), eV per atom: -4.89
Magnetization, μB/f.u.: 8.2
Energy relative to the elements, eV per atom: -0.208

```
data_CeEuZn2
_chemical_formula_sum 'Ce1 Eu1 Zn2'
_cell_length_a 5.214
_cell_length_b 5.214
_cell_length_c 5.214
_cell_angle_alpha 60.00
_cell_angle_beta 60.00
_cell_angle_gamma 60.00
_space_group_name_H-M_alt 'P 1'
_space_group_IT_number 1
_space_group_name_Hall 'P 1'
loop_
_atom_site_label
_atom_site_type_symbol
_atom_site_fract_x
_atom_site_fract_y
_atom_site_fract_z
Zn1 Zn 0.750 0.750 0.750
Zn2 Zn 0.250 0.250 0.250
Ce1 Ce 0.500 0.500 0.500
Eu1 Eu 0.000 0.000 0.000
```